Entry 1:
This record from the Materials Project describes a relaxed structure of KH3O2. The functional is r2SCAN.

Results
* V: 10.2 A^3/atom
* VASP energy: -6.03 eV/atom
* spin magnetization: 0.000 Bohr magnetons per cell

Lattice parameters (Å, degrees): 5.781 5.692 7.875 90.00 109.79 90.00
Space group P2_1/c (No. 14)
Unique sites:
1 K 0.200 0.245 0.423 [4 per cell]
2 H 0.271 0.703 0.541 [4 per cell]
3 H 0.271 0.711 0.846 [4 per cell]
4 H 0.487 0.025 0.247 [4 per cell]
5 O 0.157 0.744 0.415 [4 per cell]
6 O 0.445 0.642 0.737 [4 per cell]


Entry 2:
This record from the Materials Project describes a relaxed structure of K3PuH6O8. The functional is r2SCAN.

Results
* V: 12.0 A^3/atom
* VASP energy: -11.33 eV/atom
* spin magnetization: 2.000 Bohr magnetons per cell

Lattice parameters (Å, degrees): 7.768 8.296 7.666 90.00 119.39 90.00
Space group P2_1/c (No. 14)
Unique sites:
1 K 0.000 0.000 0.000 [2 per cell]
2 K 0.414 0.195 0.459 [4 per cell]
3 Pu 0.000 0.000 0.500 [2 per cell]
4 H 0.190 0.716 0.332 [4 per cell]
5 H 0.362 0.539 0.546 [4 per cell]
6 H 0.428 0.538 0.302 [4 per cell]
7 O 0.135 0.196 0.578 [4 per cell]
8 O 0.171 0.568 0.903 [4 per cell]
9 O 0.222 0.604 0.319 [4 per cell]
10 O 0.447 0.502 0.687 [4 per cell]